# 1
First-principles (PBE) data for a relaxed BiPtSe crystal, as listed in Materials Project.

```
data_BiPtSe
_chemical_formula_sum 'Bi4 Pt4 Se4'
_space_group_name_H-M_alt 'P 21 3'
_space_group_IT_number 198
_space_group_name_Hall 'P 2ac 2ab 3'
_cell_length_a 6.554
_cell_length_b 6.554
_cell_length_c 6.554
_cell_angle_alpha 90.00
_cell_angle_beta 90.00
_cell_angle_gamma 90.00
loop_
_atom_site_label
_atom_site_type_symbol
_atom_site_fract_x
_atom_site_fract_y
_atom_site_fract_z
Bi1 Bi 0.127 0.373 0.627
Pt1 Pt 0.010 0.990 0.490
Se1 Se 0.122 0.122 0.122
```



# 2
First-principles (PBE) data for a relaxed HfSiOs crystal, as listed in Materials Project.

Summary:
spin magnetization	0.0	μB per cell

```
data_HfSiOs
_chemical_formula_sum 'Hf3 Si3 Os3'
_space_group_name_H-M_alt 'P -6 2 m'
_space_group_IT_number 189
_space_group_name_Hall 'P -6 -2'
_cell_length_a 6.6368
_cell_length_b 6.6368
_cell_length_c 3.7318
_cell_angle_alpha 90.00
_cell_angle_beta 90.00
_cell_angle_gamma 120.00
loop_
_atom_site_label
_atom_site_type_symbol
_atom_site_fract_x
_atom_site_fract_y
_atom_site_fract_z
Hf1 Hf 0.0000 0.5857 0.0000
Si1 Si 0.0000 0.0000 0.0000
Si2 Si 0.3333 0.6667 0.5000
Os1 Os 0.0000 0.2470 0.5000
```



no.,energy of formation from the pure elements (eV per atom)
1,-0.501
2,-0.845